Entry 1:
HoMg PBE-GGA optimized geometry; calculated density = 5.8 g cm⁻³; SG = Pm-3m (221); energy of formation = -1.7 kcal/mol of atoms
1.0
3.7754 0.0000 0.0000
0.0000 3.7754 0.0000
0.0000 0.0000 3.7754
Ho Mg
1 1
Cartesian
1.8877 1.8877 1.8877
0.0000 0.0000 0.0000

---

Entry 2:
Ho3Mg PBE-GGA optimized geometry; calculated density = 7.4 g cm⁻³; offset from the most stable computed form = 0.0 meV/atom; SG = P4/mmm (123); energy of formation = -0.4 kcal/mol of atoms
1.0
-3.1109 0.3202 1.8014
-1.8006 -1.1663 -2.9022
0.8068 -8.4494 2.8951
Ho Mg
3 1
Cartesian
0.4034 -4.2247 1.4475
-1.8376 -6.8974 1.6679
-2.2672 -2.3982 0.1263
0.0000 0.0000 0.0000

---

Entry 3:
HoMg2 PBE-GGA optimized geometry; calculated density = 4.6 g cm⁻³; SG = P6_3/mmc (194); energy of formation = -1.3 kcal/mol of atoms
1.0
-4.6332 3.7569 0.9308
5.0314 0.5385 3.2928
3.6759 6.1752 -6.6268
Mg Ho
8 4
Cartesian
-2.0612 4.7502 -0.3219
3.8795 7.5495 -1.6282
6.1353 5.7204 -2.0813
0.3885 5.0124 1.2813
3.6856 5.4582 -3.6845
0.1946 2.9211 -0.7751
1.8379 3.0876 -3.3134
0.0000 0.0000 0.0000
2.0284 8.4632 -4.4836
3.4120 4.3028 -0.3829
0.6621 6.1678 -2.0204
2.0457 2.0074 2.0804

---

Entry 4:
HoMg149 PBE-GGA optimized geometry; calculated density = 1.8 g cm⁻³; SG = P-6m2 (187); energy of formation = -0.6 kcal/mol of atoms
1.0
13.8781 -8.0127 0.0000
-0.0002 16.0251 0.0000
0.0000 0.0000 15.6561
Mg Ho
149 1
Cartesian
11.0380 9.6091 15.6561
3.7063 0.0000 7.8281
9.2228 9.6109 2.6239
0.9268 11.2162 7.8280
2.7833 1.6065 5.2207
13.8779 8.0124 10.4151
6.4630 1.5998 2.6069
12.0448 -4.8375 13.0768
0.9419 14.3934 2.6531
12.0249 -4.8028 7.8280
9.2611 -3.2154 13.0492
3.7019 6.4119 7.8281
0.9433 4.8307 13.0323
12.0448 -4.8374 2.5793
9.2609 3.2151 2.6069
2.7833 1.6065 10.4355
6.4805 -1.5931 7.8281
0.0021 9.6127 15.6561
9.2581 3.1967 7.8281
9.2610 3.2151 13.0493
2.7723 8.0125 10.4334
3.7118 3.2323 2.6238
13.8758 1.5971 5.2244
6.4630 -1.5999 13.0492
11.1050 -3.2096 5.2108
11.1039 0.0000 10.4473
12.0174 -1.6038 7.8281
6.4759 4.8082 2.6174
13.8776 4.7987 10.4355
6.4805 1.5930 7.8281
2.7779 4.8115 5.2306
3.7010 12.8179 7.8282
5.5479 9.6095 15.6561
6.4759 11.2168 2.6174
2.7961 11.1819 0.0000
13.8758 -1.5974 10.4317
11.1013 -0.0001 0.0000
0.9433 4.8307 2.6238
12.0320 -1.6156 13.0492
2.8023 14.3641 15.6561
2.8023 1.6610 15.6561
0.0371 12.7676 15.6561
0.9419 1.6316 2.6531
6.4640 8.0125 2.6187
11.1050 -3.2096 10.4452
2.7778 11.2135 10.4255
13.8757 -1.5974 5.2245
9.2610 -3.2153 2.6069
13.8775 4.7987 5.2206
6.4812 4.7990 7.8281
8.3261 -1.6039 5.2088
3.7068 9.6044 13.0374
0.9268 1.6053 7.8280
5.5568 -3.2058 5.2245
9.2520 -0.0001 13.0563
3.6664 0.0000 13.0768
3.7011 3.2072 7.8281
5.5569 -3.2057 10.4316
5.5568 3.2056 5.2245
8.3273 -1.6017 15.6561
3.6662 0.0000 2.5793
6.4630 1.5998 13.0492
9.2228 9.6109 13.0323
0.0021 6.4124 15.6561
12.0242 8.0124 7.8281
9.2519 -0.0001 2.6000
12.0248 4.8026 7.8280
5.5460 0.0000 10.4453
8.3260 1.6037 5.2089
3.7118 3.2323 13.0323
12.0448 4.8373 2.5793
9.2498 9.6142 7.8281
11.0380 6.4159 0.0000
0.9154 8.0125 7.8281
5.5461 0.0000 5.2109
0.9419 14.3934 13.0029
13.8758 1.5971 10.4316
9.2582 -3.1968 7.8281
12.0448 4.8373 13.0769
5.5527 9.6177 5.2227
8.3221 8.0125 10.4255
6.4640 8.0125 13.0374
6.4631 -1.5999 2.6069
5.5568 3.2057 10.4316
2.7778 4.8115 10.4256
5.5527 6.4072 5.2227
5.5527 6.4072 10.4335
5.5528 9.6178 10.4335
11.0951 -6.4054 10.4355
0.9260 8.0125 13.0388
0.9418 1.6316 13.0030
3.7068 6.4206 2.6188
5.5480 6.4155 0.0000
9.2499 6.4107 7.8281
5.5521 12.8169 0.0000
9.2228 6.4141 13.0324
3.7069 6.4207 13.0374
8.3261 -1.6039 10.4473
11.9940 8.0125 13.0031
12.0320 1.6153 13.0492
2.7962 4.8432 15.6561
0.9267 14.4198 7.8281
11.0937 -3.1900 15.6561
2.7723 8.0125 5.2227
6.4811 11.2259 7.8281
0.9269 4.8089 7.8280
2.7778 11.2136 5.2306
3.7018 9.6131 7.8281
0.0000 0.0000 5.2411
0.0373 3.2574 15.6561
2.7834 -1.6066 5.2206
11.0949 6.4052 10.4355
8.3235 11.2169 0.0000
6.4759 4.8082 13.0387
9.2228 6.4140 2.6238
8.3222 8.0124 5.2306
11.1039 -0.0001 5.2089
8.3234 -4.8030 10.4317
8.3260 1.6037 10.4474
12.0319 1.6154 2.6069
3.7117 12.7927 13.0323
0.9432 11.1943 2.6238
8.2855 8.0125 15.6561
8.3233 4.8029 10.4317
11.0936 3.1897 0.0000
11.1049 3.2095 10.4453
5.5521 3.2080 15.6561
0.9260 8.0125 2.6174
11.0950 6.4053 5.2206
6.4741 8.0125 7.8281
3.7068 9.6044 2.6188
11.1049 3.2094 5.2109
12.0173 1.6036 7.8281
8.3234 4.8029 5.2245
12.0320 -1.6156 2.6068
5.5687 -0.0001 0.0000
8.3273 1.6014 0.0000
13.8776 -4.7990 5.2206
3.7117 12.7927 2.6238
11.0951 -6.4054 5.2206
13.8777 -4.7989 10.4355
2.7833 -1.6066 10.4355
11.9939 8.0125 2.6531
9.2520 -0.0001 7.8281
6.4759 11.2167 13.0388
2.7819 8.0125 0.0000
8.3234 -4.8031 5.2244
8.3236 4.8082 15.6561
0.9432 11.1943 13.0323
13.8778 8.0120 0.0004

---

Entry 5:
Ho3Mg PBE-GGA optimized geometry; calculated density = 7.4 g cm⁻³; offset from the most stable computed form = 24.4 meV/atom; SG = P6_3/mmc (194); energy of formation = 0.2 kcal/mol of atoms
1.0
3.4902 -6.0453 0.0000
3.4902 6.0453 0.0000
0.0000 0.0000 5.5260
Ho Mg
6 2
Cartesian
1.7759 -1.0253 4.1445
3.4902 -3.9946 4.1445
5.2045 -1.0253 4.1445
5.2045 1.0253 1.3815
3.4902 3.9946 1.3815
1.7759 1.0253 1.3815
3.4902 -2.0151 1.3815
3.4902 2.0151 4.1445

---

Entry 6:
HoMg2 PBE-GGA optimized geometry; calculated density = 4.6 g cm⁻³; SG = P6/mmm (191); energy of formation = -1.3 kcal/mol of atoms
1.0
-0.7907 4.9029 -1.5469
-0.7171 -1.3022 4.9846
3.1611 0.7119 0.6407
Mg Ho
2 1
Cartesian
-0.7416 0.7662 2.8075
-0.7661 2.8345 0.6303
1.5805 0.3560 0.3204

---

Entry 7:
NdHoMg2 PBE-GGA optimized geometry; calculated density = 5.3 g cm⁻³; SG = Fm-3m (225); energy of formation = -2.1 kcal/mol of atoms
1.0
0.0000 3.8331 3.8331
3.8331 0.0000 3.8331
3.8331 3.8331 0.0000
Mg Nd Ho
2 1 1
Cartesian
1.9166 1.9166 1.9166
5.7497 5.7497 5.7497
0.0000 0.0000 0.0000
3.8331 3.8331 3.8331

---

Entry 8:
Ho2MgNi2 PBE-GGA optimized geometry; calculated density = 7.8 g cm⁻³; SG = P4/mbm (127); energy of formation = -9.0 kcal/mol of atoms
1.0
-4.6488 0.3904 5.6125
-0.4059 -7.2850 0.1705
2.8810 -0.1045 2.3936
Ni Mg Ho
4 2 4
Cartesian
-0.7947 -4.4496 0.7622
-4.2601 -2.4450 5.0208
-1.8277 -0.7033 2.1692
-3.2270 -6.1912 3.6138
0.0000 0.0000 0.0000
-2.5274 -3.4473 2.8915
-2.6632 -4.6576 5.9350
-1.7752 -1.0727 5.0227
0.4894 -2.3414 2.2416
-0.3986 -5.9264 3.1539

---

Entry 9:
HoMgSn2O6 PBE-GGA optimized geometry; calculated density = 6.8 g cm⁻³; SG = Pmn2_1 (31); energy of formation = -59.2 kcal/mol of atoms
1.0
-2.5725 0.0911 4.8581
-4.5295 -2.6538 -2.3487
3.2526 -7.1952 1.8573
O Sn Ho Mg
12 4 2 2
Cartesian
-0.0998 -7.0730 2.0425
-4.0566 -3.7581 -1.0001
-2.3765 -5.3726 1.0623
-1.9892 -8.3315 0.1804
-5.4378 -2.1675 1.1259
-3.5910 -3.7689 3.2429
-1.0239 -2.4162 3.6917
0.5424 -4.0134 1.2161
-2.2215 -2.3796 0.8310
-2.4600 -6.2706 3.8887
0.1614 -5.0381 4.3685
-3.6487 -0.7683 3.4134
-3.9247 -3.7678 1.1182
1.3465 -6.0291 0.8409
-2.2956 -7.3717 2.0485
-0.2770 -2.4377 -0.0862
-1.1410 -4.3904 2.7036
-3.1431 -1.8121 -1.5159
-2.3067 -0.5502 1.9083
-1.8897 -5.6555 -0.8862

---

Entry 10:
Ho4MgTi2O10 PBE-GGA optimized geometry; calculated density = 7.3 g cm⁻³; offset from the most stable computed form = 46.9 meV/atom; SG = P-1 (2); energy of formation = -80.6 kcal/mol of atoms
1.0
5.8019 2.3732 -0.4621
-6.0605 2.9493 0.1771
-3.3391 -0.2439 7.0113
O Ho Ti Mg
10 4 2 1
Cartesian
-5.8246 2.0297 4.1525
-2.3001 3.3497 6.5750
2.2269 3.0487 2.5737
-0.7551 1.6860 3.0101
-2.8427 3.3924 3.7161
1.1982 1.6248 5.1751
-4.7960 3.4537 1.5511
-1.5761 4.3724 1.3920
-2.0217 0.7061 5.3342
-1.2976 1.7287 0.1512
-2.7950 2.4111 1.6722
-3.8302 1.9810 5.1445
0.2324 3.0974 1.5817
-0.8028 2.6674 5.0541
-1.6696 -0.1220 3.5056
0.0000 0.0000 0.0000
1.2314 1.0646 3.2746

---

Entry 11:
Ho4MgTi2O10 PBE-GGA optimized geometry; calculated density = 6.8 g cm⁻³; offset from the most stable computed form = 0.0 meV/atom; SG = P1 (1); energy of formation = -81.6 kcal/mol of atoms
1.0
5.6753 2.7407 -0.0372
-5.6745 2.7484 0.1282
-2.9107 0.1230 7.4385
O Ho Ti Mg
10 4 2 1
Cartesian
-5.5325 2.1646 4.8715
-4.0795 3.4032 1.3729
-1.7736 3.8090 6.9681
1.2867 2.1462 6.3535
2.3459 3.8210 2.9058
-0.5270 4.3722 1.8044
-0.4804 1.6580 3.3490
-2.1232 1.2197 5.7204
-0.8755 1.7825 0.4531
-2.4908 3.8032 4.1094
-2.0721 2.7576 2.0529
-0.4984 2.8852 5.3386
-3.7077 2.8743 5.9089
1.0235 2.7521 1.4785
3.7894 2.9316 4.0550
-2.8306 5.5840 7.4323
-5.0119 2.6768 3.0272

---

Entry 12:
Ho4MgTi2O10 PBE-GGA optimized geometry; calculated density = 6.4 g cm⁻³; offset from the most stable computed form = 10.7 meV/atom; SG = Pm (6); energy of formation = -81.4 kcal/mol of atoms
1.0
-0.0398 4.1240 0.0000
-5.5637 2.1167 0.0000
0.0000 0.0000 10.6049
O Ho Ti Mg
10 4 2 1
Cartesian
-3.3378 4.1715 6.3214
-5.0726 6.0128 3.9993
-0.6768 4.1408 9.2935
-2.4071 2.1406 0.7982
-2.4071 2.1406 4.5042
-0.6768 4.1408 6.6138
-5.0726 6.0128 1.3031
-3.3378 4.1715 9.5859
-3.2193 4.1565 2.6512
-2.5825 2.1734 7.9536
-1.6411 4.1957 0.6701
-4.0576 2.0883 9.8338
-1.6411 4.1957 4.6324
-4.0576 2.0883 6.0735
-2.0311 3.9849 7.9536
-3.2201 2.1261 2.6512
-5.2826 4.4313 2.6512